1.
Rb2NbHgF6 | PBE | relaxed

Values from the calculation:
The space group is Fm-3m, No. 225. As for the corrected total energy (MP2020 scheme): -5.168 eV/atom.

Geometry as extended XYZ:
```
10
Lattice="-1.912 2.236 6.379 -6.081 -2.137 2.794 0.004 -4.456 5.431" Properties=species:S:1:pos:R:3 pbc="T T T"
F -1.615 -3.534 6.188
F -6.375 -0.823 8.416
F -5.236 -2.154 4.619
F -2.755 0.449 6.753
F -2.753 -2.204 9.986
F -5.234 -4.807 7.852
Rb -1.997 -1.089 3.651
Rb -5.992 -3.268 10.953
Nb 0.000 0.000 0.000
Hg -3.995 -2.179 7.302
```

2.
MgAs4P4O16 | PBE | relaxed

Values from the calculation:
The space group is Pm, No. 6. As for the corrected total energy (MP2020 scheme): -6.954 eV/atom. The calculation puts the energy relative to the lowest polymorph listed for this composition at 0.034 eV/atom.

Geometry as extended XYZ:
```
25
Lattice="5.017 0.000 0.000 0.000 8.556 -0.342 0.000 -0.355 8.537" Properties=species:S:1:pos:R:3 pbc="T T T"
O 1.254 2.699 3.824
O 3.763 5.307 4.334
O 4.999 1.301 5.499
O 1.254 0.335 1.959
O 2.548 7.211 3.124
O 3.763 7.755 -0.105
O 2.511 2.291 1.001
O 5.015 2.291 1.001
O 1.254 3.390 6.306
O 1.254 0.488 7.920
O 3.763 5.481 1.678
O 3.763 7.711 5.960
O 2.527 1.301 5.499
O 2.515 5.684 7.004
O 5.011 5.684 7.004
O 4.977 7.211 3.124
Mg 3.763 0.386 3.905
P 3.763 6.612 7.159
P 1.254 1.428 0.790
P 3.763 6.073 3.039
P 1.254 2.213 5.235
As 1.254 7.090 1.752
As 1.254 5.196 5.740
As 3.763 2.586 2.412
As 3.763 0.874 7.004
```

3.
La2SnSb4 | PBE | relaxed

Values from the calculation:
The space group is P2_1/c, No. 14. As for the corrected total energy (MP2020 scheme): -4.971 eV/atom.

Geometry as extended XYZ:
```
14
Lattice="-1.541 0.593 -6.332 7.186 -1.587 -1.898 4.412 -10.458 -2.053" Properties=species:S:1:pos:R:3 pbc="T T T"
Sb 7.841 -9.798 -8.515
Sb 4.272 -2.830 -3.945
Sb 4.141 -6.775 -3.950
Sb 3.146 -3.226 -7.089
Sb 2.216 -1.654 -1.768
Sb 6.911 -8.226 -3.194
Sb 5.784 -8.621 -6.338
Sb 5.916 -4.677 -6.333
Sn 1.435 -4.933 -4.193
Sn 0.000 0.000 0.000
La 6.671 -4.779 -3.148
La 3.385 -6.673 -7.135
La 1.459 -1.552 -4.959
La 8.597 -9.900 -5.324
```

4.
BaMg14Zr | PBE | relaxed

Values from the calculation:
The space group is P-6m2, No. 187. The calculation puts the energy relative to the lowest polymorph listed for this composition at 0.000 eV/atom.

Geometry as extended XYZ:
```
16
Lattice="-1.899 2.289 5.968 1.454 -6.460 -0.785 9.886 1.933 2.404" Properties=species:S:1:pos:R:3 pbc="T T T"
Mg 7.058 -3.807 1.917
Mg 6.146 -2.708 4.782
Mg 1.181 -3.616 3.625
Mg 3.130 -1.668 5.361
Mg 3.908 -2.891 2.352
Mg 8.385 1.442 4.025
Mg 2.237 1.536 5.663
Mg 7.460 2.557 6.933
Mg 3.162 0.421 2.755
Mg 2.131 -4.760 0.641
Mg 9.130 -1.870 3.622
Mg 8.000 -0.716 6.545
Mg 5.390 0.651 5.191
Mg 0.454 -0.386 4.017
Zr 1.404 -1.530 1.034
Ba 6.347 -0.564 2.236
```

Number 1: energy of formation from the pure elements -64.16 kcal/mol of atoms. Number 2: energy of formation from the pure elements -48.69 kcal/mol of atoms. Number 3: energy of formation from the pure elements -14.48 kcal/mol of atoms. Number 4: energy of formation from the pure elements 2.18 kcal/mol of atoms.